[1]
A plane-wave DFT calculation with r2SCAN was carried out for Yb3Zr after structural relaxation.

## Properties
SG = P6_3/mmc (194)
E = -33.06 eV per atom
Total magnetization = 3.2 μB per cell
Energy relative to the lowest polymorph listed for this composition = 0 meV/atom

a b c (Å): 6.890 6.890 5.410
angles (deg): 90.00 90.00 120.00
Fractional coordinates of all 8 atoms:
1 Yb 0.169 0.338 0.250
2 Yb 0.662 0.831 0.250
3 Yb 0.169 0.831 0.250
4 Yb 0.831 0.662 0.750
5 Yb 0.338 0.169 0.750
6 Yb 0.831 0.169 0.750
7 Zr 0.333 0.667 0.750
8 Zr 0.667 0.333 0.250

---

[2]
A plane-wave DFT calculation with r2SCAN was carried out for ZrZn22 after structural relaxation.

## Properties
SG = Fd-3m (227)
E = -9.58 eV per atom
Total magnetization = 0.0 μB per cell

a b c (Å): 9.850 9.850 9.850
angles (deg): 60.00 60.00 60.00
Fractional coordinates of all 46 atoms:
1 Zr 0.375 0.375 0.375
2 Zr 0.625 0.625 0.625
3 Zn 0.000 0.000 0.000
4 Zn 0.000 0.000 0.500
5 Zn 0.500 0.000 0.000
6 Zn 0.000 0.500 0.000
7 Zn 0.500 0.500 0.500
8 Zn 0.500 0.500 0.000
9 Zn 0.000 0.500 0.500
10 Zn 0.500 0.000 0.500
11 Zn 0.736 0.014 0.014
12 Zn 0.986 0.986 0.264
13 Zn 0.264 0.264 0.986
14 Zn 0.986 0.264 0.264
15 Zn 0.986 0.264 0.986
16 Zn 0.264 0.986 0.264
17 Zn 0.014 0.736 0.014
18 Zn 0.014 0.014 0.736
19 Zn 0.736 0.736 0.014
20 Zn 0.736 0.014 0.736
21 Zn 0.264 0.986 0.986
22 Zn 0.014 0.736 0.736
23 Zn 0.181 0.181 0.696
24 Zn 0.819 0.304 0.557
25 Zn 0.557 0.819 0.819
26 Zn 0.819 0.557 0.819
27 Zn 0.304 0.819 0.557
28 Zn 0.304 0.557 0.819
29 Zn 0.557 0.304 0.819
30 Zn 0.696 0.181 0.181
31 Zn 0.181 0.696 0.181
32 Zn 0.443 0.181 0.696
33 Zn 0.181 0.443 0.696
34 Zn 0.443 0.181 0.181
35 Zn 0.696 0.181 0.443
36 Zn 0.181 0.696 0.443
37 Zn 0.181 0.443 0.181
38 Zn 0.557 0.819 0.304
39 Zn 0.819 0.557 0.304
40 Zn 0.819 0.819 0.557
41 Zn 0.819 0.819 0.304
42 Zn 0.304 0.819 0.819
43 Zn 0.819 0.304 0.819
44 Zn 0.696 0.443 0.181
45 Zn 0.443 0.696 0.181
46 Zn 0.181 0.181 0.443

---

[3]
A plane-wave DFT calculation with r2SCAN was carried out for ZrZn2 after structural relaxation.

## Properties
SG = Fd-3m (227)
E = -13.89 eV per atom
Total magnetization = 2.2 μB per cell

a b c (Å): 5.202 5.202 5.202
angles (deg): 60.00 60.00 60.00
Fractional coordinates of all 6 atoms:
1 Zr 0.875 0.875 0.875
2 Zr 0.125 0.125 0.125
3 Zn 0.500 0.500 0.500
4 Zn 0.500 0.500 0.000
5 Zn 0.000 0.500 0.500
6 Zn 0.500 0.000 0.500

---

Question: Among the records above, which one has the lowest E?
Answer: Yb3Zr

---

Question: The highest total magnetization belongs to which entry?
Answer: Yb3Zr

---

What did the second record say?
A plane-wave DFT calculation with r2SCAN was carried out for ZrZn22 after structural relaxation.

## Properties
SG = Fd-3m (227)
E = -9.58 eV per atom
Total magnetization = 0.0 μB per cell

a b c (Å): 9.850 9.850 9.850
angles (deg): 60.00 60.00 60.00
Fractional coordinates of all 46 atoms:
1 Zr 0.375 0.375 0.375
2 Zr 0.625 0.625 0.625
3 Zn 0.000 0.000 0.000
4 Zn 0.000 0.000 0.500
5 Zn 0.500 0.000 0.000
6 Zn 0.000 0.500 0.000
7 Zn 0.500 0.500 0.500
8 Zn 0.500 0.500 0.000
9 Zn 0.000 0.500 0.500
10 Zn 0.500 0.000 0.500
11 Zn 0.736 0.014 0.014
12 Zn 0.986 0.986 0.264
13 Zn 0.264 0.264 0.986
14 Zn 0.986 0.264 0.264
15 Zn 0.986 0.264 0.986
16 Zn 0.264 0.986 0.264
17 Zn 0.014 0.736 0.014
18 Zn 0.014 0.014 0.736
19 Zn 0.736 0.736 0.014
20 Zn 0.736 0.014 0.736
21 Zn 0.264 0.986 0.986
22 Zn 0.014 0.736 0.736
23 Zn 0.181 0.181 0.696
24 Zn 0.819 0.304 0.557
25 Zn 0.557 0.819 0.819
26 Zn 0.819 0.557 0.819
27 Zn 0.304 0.819 0.557
28 Zn 0.304 0.557 0.819
29 Zn 0.557 0.304 0.819
30 Zn 0.696 0.181 0.181
31 Zn 0.181 0.696 0.181
32 Zn 0.443 0.181 0.696
33 Zn 0.181 0.443 0.696
34 Zn 0.443 0.181 0.181
35 Zn 0.696 0.181 0.443
36 Zn 0.181 0.696 0.443
37 Zn 0.181 0.443 0.181
38 Zn 0.557 0.819 0.304
39 Zn 0.819 0.557 0.304
40 Zn 0.819 0.819 0.557
41 Zn 0.819 0.819 0.304
42 Zn 0.304 0.819 0.819
43 Zn 0.819 0.304 0.819
44 Zn 0.696 0.443 0.181
45 Zn 0.443 0.696 0.181
46 Zn 0.181 0.181 0.443